NbCrN3, relaxed, DFT GGA-PBE; space-group type = P4/nmm (129); DFT total energy = -91.22 eV per cell; volume = 113.2 Å³/cell; energy of formation = -37.2 kJ/mol of atoms
1.0
3.4415 0.0000 0.0000
0.0000 3.4415 0.0000
0.0000 0.0000 9.5608
Nb Cr N
2 2 6
direct
0.2500 0.2500 0.1210
0.7500 0.7500 0.8790
0.2500 0.2500 0.5877
0.7500 0.7500 0.4123
0.2500 0.2500 0.7700
0.2500 0.7500 0.0000
0.2500 0.7500 0.5000
0.7500 0.2500 0.0000
0.7500 0.2500 0.5000
0.7500 0.7500 0.2300